Record 1
Cs2VAgF6 | Materials Project | PBE+U | optimized geometry; SG = Fm-3m (225); total magnetic moment = 2.00 μB/cell
1.0
0.000 4.479 4.479
4.479 0.000 4.479
4.479 4.479 0.000
Cs V Ag F
2 1 1 6
Direct
0.250 0.250 0.250
0.750 0.750 0.750
0.000 0.000 0.000
0.500 0.500 0.500
0.220 0.220 0.780
0.220 0.780 0.220
0.220 0.780 0.780
0.780 0.220 0.220
0.780 0.220 0.780
0.780 0.780 0.220

=====

Record 2
VZnHPbO5 | Materials Project | PBE+U | optimized geometry; SG = Pnma (62)
1.0
7.682 0.000 0.000
0.000 6.193 0.000
0.000 0.000 9.553
V Zn H Pb O
4 4 4 4 20
Direct
0.132 0.250 0.188
0.368 0.750 0.688
0.632 0.250 0.312
0.868 0.750 0.812
0.000 0.000 0.500
0.000 0.500 0.500
0.500 0.000 0.000
0.500 0.500 0.000
0.240 0.750 0.017
0.260 0.250 0.517
0.740 0.750 0.483
0.760 0.250 0.983
0.134 0.250 0.823
0.366 0.750 0.323
0.634 0.250 0.677
0.866 0.750 0.177
0.045 0.750 0.919
0.123 0.010 0.290
0.123 0.490 0.290
0.146 0.250 0.567
0.185 0.750 0.574
0.315 0.250 0.074
0.354 0.750 0.067
0.377 0.510 0.790
0.377 0.990 0.790
0.455 0.250 0.419
0.545 0.750 0.581
0.623 0.010 0.210
0.623 0.490 0.210
0.646 0.250 0.933
0.685 0.750 0.926
0.815 0.250 0.426
0.854 0.750 0.433
0.877 0.510 0.710
0.877 0.990 0.710
0.955 0.250 0.081

=====

Record 3
CoPO4 | Materials Project | PBE+U | optimized geometry; SG = P-1 (2); total magnetic moment = 12.00 μB/cell
1.0
5.737 0.000 0.000
1.158 6.325 0.000
1.763 2.311 8.790
Co P O
4 4 16
Direct
0.172 0.101 0.195
0.290 0.174 0.562
0.710 0.826 0.438
0.828 0.899 0.805
0.168 0.723 0.513
0.316 0.876 0.894
0.684 0.124 0.106
0.832 0.277 0.487
0.083 0.232 0.389
0.106 0.823 0.348
0.129 0.756 0.862
0.250 0.925 0.049
0.261 0.484 0.544
0.343 0.091 0.762
0.358 0.851 0.540
0.429 0.262 0.120
0.571 0.738 0.880
0.642 0.149 0.460
0.657 0.909 0.238
0.739 0.516 0.456
0.750 0.075 0.951
0.871 0.244 0.138
0.894 0.177 0.652
0.917 0.768 0.611

=====

| no. | VASP energy (eV/atom) | formation energy (eV/atom) |
| --- | --- | --- |
| 1 | -4.78 | -2.71 |
| 2 | -6.05 | -1.94 |
| 3 | -6.66 | -2.01 |